The following is a PBE-GGA calculation of a geometry-optimized Pb2OF2 structure, from the Materials Project.

Results
E   -4.99 eV per atom
Formation energy   -2.068 eV/atom

Cell lengths 8.339, 8.339, 5.881 Å; angles 90.00, 90.00, 90.00 degrees
Space group P-4m2 (No. 115)
Unique sites:
Pb1 0.000 0.258 0.295
Pb2 0.238 0.500 0.812
O1 0.000 0.000 0.500
O2 0.000 0.500 0.025
O3 0.500 0.500 0.000
F1 0.206 0.206 0.000
F2 0.276 0.276 0.500

=====

The following is a PBE-GGA calculation of a geometry-optimized Na6Si5Sn2Ge2SO24 structure, from the Materials Project.

Results
E   -6.45 eV per atom
Formation energy   -2.478 eV/atom

Cell lengths 8.867, 8.870, 22.184 Å; angles 89.19, 89.09, 60.03 degrees
Space group P1 (No. 1)
Unique sites:
Na1 0.000 0.000 0.000
Na2 0.002 0.267 0.500
Na3 0.011 0.641 0.752
Na4 0.305 0.665 0.168
Na5 0.309 0.302 0.669
Na6 0.332 0.336 0.335
Na7 0.341 0.955 0.584
Na8 0.341 0.974 0.089
Na9 0.365 0.640 0.502
Na10 0.369 0.269 0.002
Na11 0.634 0.998 0.502
Na12 0.637 0.633 0.004
Na13 0.668 0.300 0.918
Na14 0.669 0.301 0.418
Na15 0.701 0.973 0.837
Na16 0.705 0.601 0.335
Na17 0.967 0.968 0.336
Na18 0.996 0.629 0.250
Si1 0.002 0.930 0.498
Si2 0.040 0.970 0.835
Si3 0.049 0.253 0.334
Si4 0.287 0.343 0.500
Si5 0.288 0.634 0.006
Si6 0.328 0.264 0.833
Si7 0.331 0.688 0.335
Si8 0.370 0.298 0.172
Si9 0.381 0.591 0.666
Si10 0.626 0.968 0.336
Si11 0.670 0.599 0.171
Si12 0.673 0.006 0.666
Si13 0.709 0.634 0.500
Si14 0.718 0.917 0.004
Si15 0.999 0.348 0.003
Sn1 0.000 0.646 0.602
Sn2 0.016 0.630 0.900
Sn3 0.327 0.976 0.939
Sn4 0.335 0.962 0.730
Sn5 0.660 0.305 0.069
Sn6 0.663 0.293 0.770
Ge1 0.000 0.635 0.399
Ge2 0.001 0.615 0.104
Ge3 0.334 0.969 0.436
Ge4 0.355 0.968 0.236
Ge5 0.648 0.307 0.561
Ge6 0.654 0.320 0.273
S1 0.630 0.670 0.835
S2 0.954 0.303 0.667
S3 0.960 0.009 0.171
O1 0.004 0.805 0.837
O2 0.027 0.449 0.342
O3 0.047 0.428 0.061
O4 0.058 0.804 0.557
O5 0.117 0.000 0.897
O6 0.128 0.132 0.395
O7 0.132 0.146 0.670
O8 0.136 0.990 0.174
O9 0.151 0.452 0.836
O10 0.158 0.677 0.065
O11 0.159 0.662 0.342
O12 0.165 0.927 0.776
O13 0.171 0.414 0.561
O14 0.174 0.156 0.001
O15 0.176 0.949 0.491
O16 0.181 0.161 0.277
O17 0.184 0.485 0.163
O18 0.194 0.593 0.663
O19 0.203 0.474 0.441
O20 0.221 0.585 0.946
O21 0.292 0.811 0.275
O22 0.304 0.175 0.773
O23 0.311 0.806 0.000
O24 0.312 0.147 0.493
O25 0.353 0.123 0.179
O26 0.361 0.784 0.668
O27 0.376 0.765 0.394
O28 0.382 0.136 0.894
O29 0.463 0.472 0.726
O30 0.464 0.341 0.229
O31 0.482 0.326 0.505
O32 0.484 0.464 0.008
O33 0.485 0.787 0.179
O34 0.486 0.257 0.110
O35 0.487 0.006 0.670
O36 0.498 0.013 0.395
O37 0.502 0.500 0.605
O38 0.506 0.489 0.330
O39 0.507 0.277 0.833
O40 0.515 0.807 0.492
O41 0.524 0.745 0.891
O42 0.525 0.935 0.999
O43 0.547 0.918 0.279
O44 0.552 0.784 0.782
O45 0.623 0.524 0.111
O46 0.632 0.139 0.607
O47 0.646 0.143 0.326
O48 0.647 0.499 0.829
O49 0.694 0.455 0.508
O50 0.697 0.111 0.009
O51 0.704 0.469 0.230
O52 0.708 0.080 0.728
O53 0.787 0.680 0.558
O54 0.800 0.661 0.839
O55 0.811 0.786 0.061
O56 0.820 0.793 0.343
O57 0.826 0.124 0.509
O58 0.826 0.848 0.941
O59 0.830 0.320 0.010
O60 0.838 0.590 0.441
O61 0.839 0.812 0.664
O62 0.846 0.615 0.163
O63 0.847 0.093 0.224
O64 0.848 0.148 0.831
O65 0.851 0.273 0.327
O66 0.851 0.331 0.722
O67 0.875 0.276 0.612
O68 0.886 0.114 0.114
O69 0.947 0.472 0.944
O70 0.956 0.845 0.440
O71 0.977 0.457 0.663
O72 0.977 0.835 0.166

=====

The following is a PBE-GGA calculation of a geometry-optimized Ca4Tl2CO9 structure, from the Materials Project.

Results
E   -6.18 eV per atom
Formation energy   -2.413 eV/atom

Cell lengths 4.907, 18.499, 4.831 Å; angles 90.00, 90.00, 90.00 degrees
Space group Imm2 (No. 44)
Unique sites:
Ca1 0.000 0.108 0.000
Ca2 0.000 0.389 0.017
Tl1 0.000 0.246 0.502
C1 0.000 0.500 0.519
O1 0.000 0.129 0.501
O2 0.000 0.250 0.002
O3 0.000 0.362 0.508
O4 0.000 0.500 0.789
O5 0.228 0.500 0.384

=====

The following is a PBE-GGA calculation of a geometry-optimized Fe5SiP structure, from the Materials Project.

Results
E   -7.89 eV per atom
Formation energy   -0.292 eV/atom

Cell lengths 6.694, 11.543, 12.216 Å; angles 90.00, 90.48, 90.00 degrees
Space group Cm (No. 8)
Unique sites:
Fe1 0.000 0.000 0.000
Fe2 0.001 0.000 0.501
Fe3 0.002 0.333 0.630
Fe4 0.003 0.339 0.135
Fe5 0.121 0.500 0.475
Fe6 0.123 0.121 0.668
Fe7 0.126 0.500 0.261
Fe8 0.156 0.152 0.873
Fe9 0.187 0.188 0.263
Fe10 0.191 0.190 0.475
Fe11 0.195 0.500 0.876
Fe12 0.245 0.000 0.172
Fe13 0.259 0.500 0.668
Fe14 0.303 0.000 0.379
Fe15 0.311 0.310 0.758
Fe16 0.323 0.314 0.967
Fe17 0.350 0.348 0.377
Fe18 0.369 0.369 0.167
Fe19 0.376 0.000 0.977
Fe20 0.382 0.000 0.759
Si1 0.000 0.334 0.346
Si2 0.003 0.334 0.846
Si3 0.168 0.167 0.066
P1 0.174 0.500 0.064
P2 0.332 0.000 0.568
P3 0.336 0.335 0.567
P4 0.498 0.500 0.804
P5 0.499 0.500 0.302

=====

The following is a PBE-GGA calculation of a geometry-optimized Na3ScInP3O12 structure, from the Materials Project.

Results
E   -6.82 eV per atom
Formation energy   -2.800 eV/atom

Cell lengths 9.087, 9.088, 12.899 Å; angles 89.89, 89.98, 89.96 degrees
Space group P1 (No. 1)
Unique sites:
Na1 0.000 0.000 0.000
Na2 0.044 0.655 0.310
Na3 0.154 0.650 0.569
Na4 0.212 0.650 0.068
Na5 0.324 0.659 0.811
Na6 0.371 0.003 0.505
Na7 0.496 0.497 0.501
Na8 0.546 0.156 0.809
Na9 0.657 0.149 0.068
Na10 0.711 0.152 0.568
Na11 0.827 0.159 0.310
Na12 0.872 0.501 0.001
Sc1 0.177 0.954 0.709
Sc2 0.185 0.357 0.414
Sc3 0.185 0.359 0.914
Sc4 0.685 0.858 0.914
In1 0.193 0.956 0.210
In2 0.677 0.456 0.210
In3 0.684 0.859 0.413
In4 0.694 0.455 0.709
P1 0.036 0.309 0.161
P2 0.038 0.998 0.456
P3 0.332 0.002 0.956
P4 0.333 0.308 0.662
P5 0.381 0.658 0.314
P6 0.487 0.157 0.313
P7 0.535 0.808 0.661
P8 0.538 0.499 0.956
P9 0.833 0.499 0.458
P10 0.836 0.811 0.160
P11 0.886 0.158 0.813
P12 0.986 0.657 0.812
O1 0.003 0.489 0.466
O2 0.007 0.819 0.150
O3 0.068 0.141 0.154
O4 0.084 0.571 0.892
O5 0.088 0.913 0.358
O6 0.091 0.373 0.264
O7 0.093 0.159 0.447
O8 0.094 0.740 0.739
O9 0.103 0.396 0.069
O10 0.109 0.922 0.551
O11 0.258 0.918 0.047
O12 0.270 0.394 0.568
O13 0.276 0.735 0.236
O14 0.279 0.378 0.765
O15 0.281 0.570 0.392
O16 0.281 0.928 0.854
O17 0.282 0.165 0.953
O18 0.293 0.142 0.659
O19 0.364 0.823 0.654
O20 0.368 0.498 0.963
O21 0.388 0.266 0.373
O22 0.397 0.043 0.252
O23 0.471 0.764 0.383
O24 0.479 0.552 0.252
O25 0.503 0.998 0.963
O26 0.505 0.314 0.654
O27 0.566 0.640 0.652
O28 0.582 0.077 0.397
O29 0.590 0.661 0.950
O30 0.591 0.416 0.858
O31 0.593 0.869 0.765
O32 0.594 0.233 0.236
O33 0.603 0.899 0.571
O34 0.612 0.418 0.049
O35 0.754 0.419 0.548
O36 0.769 0.895 0.066
O37 0.780 0.421 0.358
O38 0.781 0.233 0.734
O39 0.781 0.885 0.261
O40 0.788 0.070 0.892
O41 0.794 0.664 0.454
O42 0.801 0.644 0.157
O43 0.864 0.320 0.151
O44 0.868 0.003 0.464
O45 0.886 0.759 0.876
O46 0.897 0.550 0.745
O47 0.978 0.269 0.878
O48 0.990 0.052 0.756

=====

The following is a PBE-GGA calculation of a geometry-optimized Ce3In4Ge structure, from the Materials Project.

Results
E   -4.63 eV per atom
Formation energy   -0.452 eV/atom

Cell lengths 8.332, 8.332, 11.553 Å; angles 90.00, 90.00, 90.00 degrees
Space group I4/mcm (No. 140)
Unique sites:
Ce1 0.000 0.000 0.250
Ce2 0.163 0.337 0.000
In1 0.144 0.356 0.318
Ge1 0.000 0.000 0.000

=====

The following is a PBE-GGA calculation of a geometry-optimized Cs3B3Se10 structure, from the Materials Project.

Results
E   -4.15 eV per atom
Formation energy   -0.841 eV/atom

Cell lengths 7.880, 8.773, 15.596 Å; angles 74.20, 88.92, 77.70 degrees
Space group P-1 (No. 2)
Unique sites:
Cs1 0.041 0.063 0.284
Cs2 0.256 0.478 0.358
Cs3 0.336 0.829 0.984
B1 0.097 0.399 0.907
B2 0.271 0.305 0.737
B3 0.388 0.102 0.593
Se1 0.077 0.248 0.828
Se2 0.143 0.252 0.036
Se3 0.144 0.448 0.121
Se4 0.206 0.302 0.609
Se5 0.236 0.016 0.520
Se6 0.289 0.540 0.721
Se7 0.304 0.510 0.878
Se8 0.420 0.796 0.474
Se9 0.462 0.942 0.717
Se10 0.491 0.851 0.219

=====

The following is a PBE-GGA calculation of a geometry-optimized PaBi3 structure, from the Materials Project.

Results
E   -5.40 eV per atom
Formation energy   -0.099 eV/atom

Cell lengths 6.6734, 6.6734, 6.0860 Å; angles 90.00, 90.00, 120.00 degrees
Space group P6_3/mmc (No. 194)
Unique sites:
Pa1 0.3333 0.6667 0.2500
Bi1 0.1719 0.3438 0.7500

=====

What is the E in the eighth record?
-5.40 eV per atom

=====

Which value of E does entry 3 give?
-6.18 eV per atom

=====

Among the records above, which one has the lowest formation energy?
Na3ScInP3O12